BF3 | PBE | optimized geometry

Summary:
Space-group type: No. 2
V: 494.0 Å³/cell
ΔH_f (0 K): -300.05 kJ/mol of atoms

Cell: 4.814 7.518 14.311 Å, 87.10 89.16 72.72°
Fractional coordinates of all 32 atoms:
B  0.020  0.226  0.117
B  0.025  0.721  0.384
B  0.360  0.766  0.635
B  0.365  0.261  0.864
B  0.635  0.739  0.136
B  0.640  0.234  0.365
B  0.975  0.279  0.616
B  0.980  0.774  0.883
F  0.039  0.894  0.367
F  0.043  0.397  0.122
F  0.204  0.308  0.574
F  0.212  0.800  0.922
F  0.233  0.080  0.150
F  0.244  0.578  0.357
F  0.247  0.235  0.784
F  0.250  0.719  0.715
F  0.258  0.729  0.555
F  0.271  0.204  0.945
F  0.426  0.657  0.137
F  0.430  0.154  0.364
F  0.570  0.846  0.636
F  0.574  0.343  0.863
F  0.729  0.796  0.055
F  0.742  0.271  0.445
F  0.750  0.281  0.285
F  0.753  0.765  0.216
F  0.756  0.422  0.643
F  0.767  0.920  0.850
F  0.788  0.200  0.078
F  0.796  0.692  0.426
F  0.957  0.603  0.878
F  0.961  0.106  0.633

=====

KNa2 | PBE | optimized geometry

Summary:
Space-group type: No. 194
V: 586.9 Å³/cell
ΔH_f (0 K): 0.95 kJ/mol of atoms

Cell: 7.447 7.447 12.222 Å, 90.00 90.00 120.00°
Fractional coordinates of all 12 atoms:
K  0.333  0.667  0.063
K  0.333  0.667  0.437
K  0.667  0.333  0.563
K  0.667  0.333  0.937
Na  0.000  0.000  0.000
Na  0.000  0.000  0.500
Na  0.167  0.334  0.750
Na  0.167  0.833  0.750
Na  0.334  0.167  0.250
Na  0.666  0.833  0.750
Na  0.833  0.167  0.250
Na  0.833  0.666  0.250

=====

Na2Zn2SiGe2S5O24 | PBE | optimized geometry

Summary:
Space-group type: No. 1
V: 1426.4 Å³/cell
ΔH_f (0 K): -190.43 kJ/mol of atoms

Cell: 8.590 8.592 22.311 Å, 90.45 90.38 119.96°
Fractional coordinates of all 108 atoms:
Na  0.000  0.000  0.000
Na  0.003  0.007  0.500
Na  0.333  0.680  0.328
Na  0.346  0.676  0.838
Na  0.662  0.330  0.166
Na  0.680  0.332  0.667
Zn  0.008  0.000  0.350
Zn  0.335  0.678  0.186
Zn  0.336  0.668  0.987
Zn  0.665  0.332  0.022
Zn  0.683  0.335  0.524
Zn  0.985  0.996  0.851
Si  0.051  0.381  0.587
Si  0.291  0.997  0.255
Si  0.701  0.998  0.753
Ge  0.016  0.007  0.152
Ge  0.324  0.652  0.483
Ge  0.331  0.672  0.688
Ge  0.660  0.328  0.312
Ge  0.667  0.319  0.820
Ge  0.993  0.022  0.652
S  0.000  0.712  0.750
S  0.037  0.671  0.087
S  0.296  0.296  0.752
S  0.326  0.951  0.586
S  0.328  0.370  0.087
S  0.373  0.041  0.918
S  0.382  0.341  0.421
S  0.623  0.673  0.586
S  0.640  0.964  0.088
S  0.662  0.036  0.420
S  0.668  0.618  0.917
S  0.712  0.708  0.253
S  0.959  0.623  0.420
S  0.962  0.337  0.919
S  0.998  0.291  0.254
O  0.017  0.211  0.309
O  0.019  0.841  0.092
O  0.039  0.820  0.805
O  0.043  0.183  0.593
O  0.118  0.646  0.140
O  0.139  0.503  0.922
O  0.144  0.705  0.032
O  0.146  0.638  0.423
O  0.151  0.508  0.646
O  0.154  0.185  0.092
O  0.154  0.954  0.593
O  0.156  0.465  0.245
O  0.161  0.687  0.743
O  0.176  0.464  0.527
O  0.184  0.969  0.315
O  0.189  0.218  0.805
O  0.197  0.027  0.909
O  0.199  0.190  0.416
O  0.206  0.045  0.194
O  0.218  0.177  0.696
O  0.295  0.838  0.530
O  0.298  0.444  0.032
O  0.313  0.476  0.743
O  0.325  0.832  0.246
O  0.352  0.476  0.141
O  0.361  0.864  0.921
O  0.365  0.874  0.640
O  0.375  0.518  0.424
O  0.458  0.151  0.971
O  0.468  0.320  0.475
O  0.480  0.131  0.581
O  0.480  0.320  0.757
O  0.482  0.339  0.083
O  0.488  0.124  0.861
O  0.490  0.852  0.425
O  0.492  0.372  0.365
O  0.494  0.189  0.259
O  0.499  0.821  0.739
O  0.504  0.634  0.919
O  0.515  0.651  0.640
O  0.529  0.670  0.244
O  0.533  0.883  0.141
O  0.549  0.714  0.531
O  0.567  0.857  0.032
O  0.629  0.116  0.364
O  0.634  0.510  0.580
O  0.637  0.501  0.859
O  0.667  0.147  0.082
O  0.681  0.182  0.760
O  0.688  0.142  0.474
O  0.688  0.533  0.970
O  0.709  0.528  0.259
O  0.772  0.950  0.811
O  0.783  0.813  0.308
O  0.809  0.835  0.592
O  0.818  0.011  0.412
O  0.826  0.788  0.198
O  0.826  0.978  0.095
O  0.829  0.044  0.693
O  0.831  0.312  0.258
O  0.832  0.793  0.912
O  0.836  0.531  0.755
O  0.851  0.313  0.971
O  0.853  0.516  0.081
O  0.856  0.358  0.585
O  0.856  0.539  0.473
O  0.878  0.367  0.861
O  0.880  0.509  0.363
O  0.954  0.171  0.198
O  0.971  0.795  0.695
O  0.981  0.177  0.912
O  0.981  0.802  0.415

=====

Rb2CrCl4 | PBE | optimized geometry

Summary:
Space-group type: No. 139
E above lowest polymorph: 0.4203 eV/atom
V: 431.7 Å³/cell
ΔH_f (0 K): -143.38 kJ/mol of atoms

Cell: 11.474 11.474 11.474 Å, 147.62 147.62 46.45°
Fractional coordinates of all 7 atoms:
Rb  0.227  0.227  0.000
Rb  0.773  0.773  0.000
Cr  0.500  0.500  0.000
Cl  0.250  0.750  0.500
Cl  0.397  0.397  0.000
Cl  0.603  0.603  0.000
Cl  0.750  0.250  0.500

=====

VCl5 | PBE | optimized geometry

Summary:
Space-group type: No. 2
V: 340.4 Å³/cell
ΔH_f (0 K): -142.22 kJ/mol of atoms

Cell: 6.413 6.934 9.256 Å, 110.20 91.15 115.87°
Fractional coordinates of all 12 atoms:
V  0.105  0.219  0.220
V  0.895  0.781  0.780
Cl  0.067  0.818  0.584
Cl  0.107  0.634  0.849
Cl  0.223  0.170  0.959
Cl  0.289  0.022  0.245
Cl  0.423  0.553  0.321
Cl  0.577  0.447  0.679
Cl  0.711  0.978  0.755
Cl  0.777  0.830  0.041
Cl  0.893  0.366  0.151
Cl  0.933  0.182  0.416

=====

ErN | PBE | optimized geometry

Summary:
Space-group type: No. 221
V: 26.0 Å³/cell
ΔH_f (0 K): -96.51 kJ/mol of atoms

Cell: 2.964 2.964 2.964 Å, 90.00 90.00 90.00°
Fractional coordinates of all 2 atoms:
Er  0.000  0.000  0.000
N  0.500  0.500  0.500

=====

LaThPb6 | PBE | optimized geometry

Summary:
Space-group type: No. 123
V: 244.2 Å³/cell
ΔH_f (0 K): -32.77 kJ/mol of atoms

Cell: 4.916 4.916 10.106 Å, 90.00 90.00 90.00°
Fractional coordinates of all 8 atoms:
La  0.000  0.000  0.000
Th  0.000  0.000  0.500
Pb  0.000  0.500  0.252
Pb  0.000  0.500  0.748
Pb  0.500  0.000  0.252
Pb  0.500  0.000  0.748
Pb  0.500  0.500  0.000
Pb  0.500  0.500  0.500

=====

MgH4C4S4O12F12 | PBE | optimized geometry

Summary:
Space-group type: No. 1
E above lowest polymorph: 0.0000 eV/atom
V: 548.2 Å³/cell
ΔH_f (0 K): -164.03 kJ/mol of atoms

Cell: 5.798 8.459 11.425 Å, 88.88 88.11 78.25°
Fractional coordinates of all 37 atoms:
Mg  0.000  0.000  0.000
H  0.042  0.639  0.448
H  0.521  0.116  0.919
H  0.539  0.140  0.461
H  0.975  0.700  0.030
C  0.126  0.865  0.641
C  0.460  0.886  0.143
C  0.641  0.359  0.262
C  0.946  0.382  0.766
S  0.123  0.341  0.903
S  0.476  0.391  0.408
S  0.557  0.856  0.980
S  0.972  0.890  0.497
O  0.122  0.496  0.953
O  0.141  0.921  0.410
O  0.260  0.505  0.385
O  0.312  0.903  0.928
O  0.352  0.252  0.859
O  0.406  0.224  0.428
O  0.640  0.422  0.491
O  0.649  0.030  0.958
O  0.753  0.003  0.520
O  0.901  0.807  0.058
O  0.907  0.721  0.484
O  0.992  0.238  0.976
F  0.087  0.411  0.675
F  0.228  0.992  0.656
F  0.244  0.997  0.147
F  0.292  0.728  0.640
F  0.421  0.745  0.186
F  0.491  0.356  0.175
F  0.599  0.946  0.214
F  0.759  0.479  0.243
F  0.770  0.513  0.781
F  0.798  0.217  0.266
F  0.851  0.254  0.741
F  0.969  0.857  0.730